Record 1
## Na7CaSc3Si3S3O24 (GGA-PBE)

Data for a geometry-optimized Na7CaSc3Si3S3O24 structure.

The structure in POSCAR format:
```
Na7CaSc3Si3S3O24
1.0
9.263 0.019 0.013
-4.615 8.021 -0.029
0.034 -0.066 22.783
O Sc S Na Si Ca
72 9 9 21 9 3
Direct
0.693 0.166 0.752
0.161 0.472 0.252
0.853 0.496 0.422
0.300 0.834 0.254
0.492 0.364 0.423
0.318 0.463 0.469
0.025 0.211 0.200
0.161 0.699 0.756
0.169 0.994 0.914
0.686 0.145 0.026
0.853 0.541 0.034
0.341 0.857 0.576
0.819 0.007 0.419
0.181 0.151 0.089
0.858 0.311 0.531
0.167 0.196 0.697
0.825 0.993 0.083
0.544 0.688 0.968
0.986 0.799 0.801
0.465 0.384 0.142
0.335 0.494 0.068
0.504 0.150 0.920
0.194 0.981 0.198
0.523 0.640 0.863
0.298 0.481 0.757
0.200 0.183 0.811
0.508 0.672 0.577
0.645 0.515 0.922
0.534 0.851 0.474
0.476 0.322 0.752
0.469 0.137 0.246
0.906 0.547 0.139
0.798 0.774 0.311
0.363 0.479 0.363
0.118 0.467 0.860
0.224 0.020 0.305
0.449 0.131 0.529
0.793 0.818 0.194
0.983 0.803 0.086
0.034 0.834 0.421
0.629 0.090 0.144
0.978 0.179 0.585
0.792 0.820 0.912
0.139 0.661 0.074
0.818 0.008 0.811
0.029 0.810 0.696
0.861 0.544 0.747
0.316 0.854 0.974
0.130 0.635 0.360
0.674 0.508 0.248
0.895 0.360 0.636
0.991 0.214 0.306
0.790 0.969 0.693
0.869 0.355 0.920
0.496 0.837 0.074
0.844 0.830 0.584
0.516 0.884 0.360
0.692 0.541 0.528
0.150 0.667 0.477
0.649 0.549 0.645
0.019 0.203 0.913
0.193 0.009 0.586
0.356 0.871 0.858
0.457 0.302 0.027
0.146 0.460 0.965
0.192 0.212 0.413
0.632 0.154 0.425
0.506 0.682 0.253
0.135 0.483 0.575
0.858 0.322 0.245
0.519 0.827 0.756
0.463 0.099 0.635
0.345 0.678 0.815
0.011 0.006 0.851
0.347 0.673 0.516
0.981 0.002 0.144
0.331 0.671 0.017
0.648 0.309 0.986
0.679 0.352 0.482
0.347 0.684 0.319
0.992 0.005 0.652
0.968 0.634 0.083
0.008 0.304 0.251
0.340 0.380 0.417
0.968 0.335 0.582
0.363 0.029 0.581
0.008 0.713 0.750
0.038 0.375 0.915
0.296 0.995 0.251
0.628 0.666 0.916
0.322 0.987 0.079
0.387 0.383 0.238
0.619 0.623 0.740
0.984 0.980 0.498
0.679 0.352 0.333
0.350 0.656 0.159
0.955 0.296 0.414
0.359 0.644 0.667
0.689 0.033 0.916
0.015 0.011 0.004
0.331 0.014 0.418
0.335 0.286 0.919
0.648 0.686 0.091
0.727 0.692 0.415
0.995 0.345 0.752
0.388 0.022 0.758
0.015 0.698 0.574
0.977 0.637 0.256
0.652 0.316 0.831
0.668 0.956 0.583
0.637 0.988 0.240
0.706 0.996 0.754
0.289 0.297 0.753
0.694 0.695 0.251
0.044 0.662 0.419
0.663 0.023 0.082
0.329 0.962 0.917
0.669 0.643 0.584
0.354 0.332 0.082
0.630 0.976 0.419
0.992 0.990 0.352
0.659 0.332 0.174
0.655 0.335 0.683
```

## Properties
SG: No. 1

=====

Record 2
## Na3CaScSiS2O12 (GGA-PBE)

Data for a geometry-optimized Na3CaScSiS2O12 structure.

The structure in POSCAR format:
```
Na3CaScSiS2O12
1.0
-6.012 -1.085 6.963
9.113 -0.983 1.553
1.407 22.446 4.712
Na O Sc S Si Ca
18 72 6 12 6 6
Direct
0.016 0.990 0.998
0.660 0.305 0.832
0.372 0.005 0.753
0.339 0.029 0.406
0.974 0.990 0.498
0.645 0.305 0.332
0.694 0.685 0.424
0.006 0.641 0.240
0.323 0.663 0.165
0.340 0.663 0.665
0.991 0.685 0.924
0.029 0.352 0.086
0.634 0.641 0.740
0.324 0.352 0.586
0.656 0.946 0.577
0.690 0.029 0.906
0.632 0.005 0.253
0.291 0.946 0.077
0.651 0.145 0.748
0.448 0.303 0.032
0.506 0.813 0.753
0.111 0.640 0.362
0.636 0.155 0.423
0.168 0.981 0.914
0.307 0.813 0.253
0.847 0.531 0.026
0.813 0.981 0.414
0.519 0.155 0.923
0.510 0.876 0.361
0.798 0.809 0.911
0.979 0.196 0.298
0.533 0.694 0.255
0.130 0.679 0.467
0.161 0.694 0.755
0.684 0.531 0.526
0.977 0.170 0.586
0.221 0.008 0.313
0.317 0.868 0.977
0.354 0.479 0.368
0.528 0.640 0.862
0.152 0.653 0.082
0.454 0.147 0.531
0.859 0.510 0.419
0.198 0.219 0.693
0.466 0.114 0.636
0.123 0.443 0.973
0.551 0.868 0.477
0.648 0.114 0.136
0.788 0.008 0.813
0.011 0.809 0.411
0.366 0.876 0.861
0.790 0.969 0.696
0.133 0.468 0.577
0.203 0.040 0.588
0.857 0.324 0.244
0.796 0.782 0.305
0.032 0.819 0.701
0.788 0.819 0.201
0.158 0.469 0.254
0.997 0.200 0.913
0.857 0.544 0.744
0.838 0.040 0.088
0.986 0.782 0.805
0.502 0.653 0.582
0.494 0.145 0.248
0.021 0.219 0.193
0.503 0.368 0.419
0.467 0.324 0.744
0.125 0.479 0.868
0.178 0.969 0.196
0.311 0.469 0.754
0.335 0.468 0.077
0.320 0.443 0.473
0.836 0.823 0.586
0.693 0.147 0.031
0.339 0.873 0.577
0.549 0.679 0.967
0.218 0.196 0.798
0.987 0.823 0.086
0.885 0.529 0.144
0.193 0.170 0.086
0.855 0.303 0.532
0.644 0.529 0.644
0.866 0.368 0.919
0.891 0.347 0.636
0.687 0.544 0.244
0.203 0.200 0.413
0.650 0.510 0.919
0.534 0.873 0.077
0.457 0.347 0.136
0.677 0.339 0.483
0.971 0.978 0.650
0.007 0.978 0.150
0.346 0.687 0.817
0.662 0.339 0.983
0.340 0.687 0.317
0.006 0.302 0.247
0.296 0.302 0.747
0.362 0.326 0.083
0.030 0.659 0.415
0.630 0.659 0.915
0.365 0.042 0.583
0.677 0.042 0.083
0.701 0.708 0.252
0.032 0.373 0.918
0.341 0.373 0.418
0.964 0.326 0.583
0.007 0.708 0.752
0.636 0.975 0.420
0.340 0.975 0.920
0.692 0.994 0.754
0.303 0.994 0.254
0.668 0.631 0.585
0.964 0.631 0.085
0.335 0.670 0.016
0.676 0.334 0.683
0.659 0.334 0.183
0.335 0.670 0.516
0.006 0.013 0.349
0.007 0.013 0.849
```

## Properties
SG: No. 9

=====

In the order shown, the computed calculated total energy values come out to -6.69 -6.49 eV per atom.